Record 1
Na2TaGa3P4S2O24 (PBE, optimized geometry); calculated volume = 1419 Å³/cell; formation energy = -2.49 eV/atom; corrected total energy (MP2020 scheme) = -7.28 eV per atom
1.0
8.571 0.005 0.011
-4.281 7.420 0.004
0.028 0.030 22.297
O P S Ga Ta Na
72 12 6 9 3 6
Direct
0.543 0.840 0.475
0.505 0.638 0.862
0.788 0.963 0.691
0.972 0.812 0.089
0.488 0.126 0.637
0.841 0.534 0.029
0.505 0.864 0.078
0.812 0.980 0.412
0.878 0.365 0.637
0.211 0.032 0.305
0.963 0.791 0.806
0.301 0.454 0.472
0.156 0.699 0.474
0.526 0.835 0.757
0.150 0.649 0.077
0.132 0.638 0.362
0.540 0.702 0.974
0.502 0.140 0.925
0.854 0.499 0.423
0.638 0.501 0.923
0.858 0.358 0.924
0.163 0.473 0.259
0.525 0.692 0.259
0.301 0.840 0.974
0.634 0.143 0.424
0.362 0.489 0.364
0.977 0.170 0.589
0.500 0.639 0.577
0.690 0.169 0.742
0.175 0.213 0.692
0.142 0.497 0.576
0.969 0.173 0.307
0.188 0.162 0.090
0.692 0.156 0.030
0.498 0.362 0.423
0.361 0.504 0.078
0.636 0.124 0.139
0.884 0.511 0.140
0.029 0.841 0.409
0.478 0.310 0.742
0.363 0.868 0.862
0.458 0.155 0.528
0.165 0.976 0.910
0.466 0.305 0.029
0.826 0.786 0.306
0.828 0.036 0.806
0.173 0.196 0.410
0.208 0.172 0.806
0.850 0.302 0.528
0.359 0.863 0.578
0.157 0.453 0.974
0.793 0.828 0.193
0.505 0.865 0.363
0.165 0.691 0.757
0.308 0.838 0.257
0.309 0.475 0.757
0.812 0.836 0.910
0.038 0.825 0.691
0.037 0.207 0.193
0.022 0.186 0.909
0.179 0.966 0.196
0.695 0.541 0.528
0.490 0.361 0.142
0.828 0.804 0.588
0.195 0.026 0.588
0.832 0.522 0.742
0.830 0.030 0.088
0.635 0.512 0.637
0.472 0.160 0.244
0.685 0.519 0.244
0.827 0.304 0.243
0.130 0.494 0.861
0.288 0.281 0.749
0.373 0.334 0.087
0.719 0.007 0.749
0.625 0.678 0.918
0.990 0.278 0.249
0.993 0.712 0.749
0.326 0.951 0.919
0.046 0.371 0.918
0.040 0.671 0.419
0.964 0.630 0.085
0.718 0.711 0.248
0.625 0.959 0.419
0.332 0.373 0.419
0.290 0.008 0.250
0.666 0.623 0.583
0.665 0.042 0.085
0.960 0.333 0.583
0.377 0.045 0.583
0.325 0.657 0.018
0.334 0.677 0.517
0.676 0.333 0.480
0.979 0.988 0.352
0.001 0.000 0.654
0.999 0.002 0.146
0.679 0.352 0.184
0.000 0.000 0.852
0.667 0.334 0.690
0.331 0.666 0.312
0.664 0.340 0.979
0.333 0.667 0.811
0.996 0.995 0.500
0.004 0.000 0.998
0.330 0.658 0.160
0.334 0.667 0.665
0.667 0.332 0.829
0.676 0.338 0.332

=====

Record 2
Na3Ti2Ga2P5SO24 (PBE, optimized geometry); calculated volume = 1423 Å³/cell; formation energy = -2.69 eV/atom; corrected total energy (MP2020 scheme) = -7.44 eV per atom
1.0
-3.847 -6.847 3.546
5.189 4.953 4.746
-17.327 12.617 5.638
O P Ga Ti S Na
72 15 6 6 3 9
Direct
0.160 0.703 0.473
0.834 0.522 0.743
0.035 0.210 0.192
0.308 0.477 0.758
0.695 0.169 0.743
0.643 0.144 0.424
0.545 0.700 0.971
0.179 0.967 0.195
0.803 0.828 0.910
0.642 0.506 0.923
0.636 0.503 0.639
0.189 0.027 0.590
0.831 0.306 0.243
0.208 0.031 0.304
0.204 0.171 0.806
0.299 0.454 0.471
0.173 0.196 0.409
0.364 0.861 0.577
0.545 0.841 0.475
0.298 0.840 0.974
0.829 0.797 0.306
0.975 0.813 0.091
0.356 0.500 0.076
0.164 0.685 0.757
0.793 0.827 0.194
0.469 0.162 0.244
0.856 0.358 0.925
0.833 0.811 0.590
0.870 0.503 0.139
0.139 0.636 0.077
0.521 0.829 0.758
0.494 0.358 0.423
0.498 0.364 0.140
0.371 0.877 0.860
0.691 0.523 0.243
0.025 0.836 0.408
0.856 0.501 0.425
0.499 0.643 0.576
0.836 0.030 0.089
0.971 0.169 0.306
0.970 0.163 0.590
0.521 0.690 0.258
0.810 0.978 0.409
0.125 0.491 0.859
0.833 0.035 0.805
0.125 0.630 0.360
0.701 0.164 0.028
0.790 0.967 0.692
0.170 0.210 0.694
0.968 0.799 0.806
0.504 0.872 0.360
0.467 0.303 0.027
0.169 0.479 0.258
0.189 0.166 0.090
0.146 0.504 0.576
0.697 0.533 0.527
0.159 0.456 0.974
0.873 0.366 0.640
0.496 0.854 0.076
0.836 0.299 0.528
0.511 0.632 0.862
0.500 0.145 0.925
0.498 0.131 0.639
0.635 0.131 0.139
0.466 0.163 0.527
0.477 0.307 0.743
0.166 0.976 0.909
0.837 0.535 0.027
0.022 0.188 0.909
0.035 0.827 0.693
0.368 0.488 0.362
0.309 0.839 0.256
0.378 0.333 0.083
0.002 0.714 0.750
0.666 0.623 0.583
0.333 0.953 0.917
0.616 0.952 0.417
0.372 0.044 0.583
0.048 0.667 0.416
0.291 0.291 0.749
0.963 0.337 0.584
0.706 0.711 0.249
0.707 0.993 0.750
0.662 0.038 0.084
0.957 0.629 0.083
0.003 0.291 0.250
0.046 0.380 0.917
0.329 0.669 0.519
0.331 0.671 0.019
0.334 0.675 0.815
0.004 0.998 0.649
0.331 0.665 0.315
0.995 0.997 0.148
0.983 0.990 0.353
0.009 0.006 0.853
0.673 0.339 0.186
0.665 0.326 0.981
0.673 0.334 0.481
0.662 0.334 0.686
0.622 0.667 0.917
0.288 0.999 0.250
0.333 0.378 0.417
0.002 0.996 0.000
0.034 0.333 0.083
0.662 0.331 0.834
0.001 0.365 0.750
0.333 0.667 0.667
0.667 0.967 0.583
0.339 0.670 0.167
0.670 0.334 0.333
0.005 0.998 0.501

=====

Record 3
NaTi2Ga2P3S3O24 (PBE, optimized geometry); calculated volume = 1402 Å³/cell; formation energy = -2.49 eV/atom; corrected total energy (MP2020 scheme) = -7.36 eV per atom
1.0
8.547 -0.004 0.002
-4.277 7.410 0.004
0.005 0.014 22.141
O Ga Ti S Na P
72 6 6 9 3 9
Direct
0.879 0.509 0.138
0.172 0.974 0.908
0.977 0.173 0.592
0.498 0.855 0.074
0.703 0.545 0.530
0.845 0.546 0.028
0.841 0.298 0.529
0.643 0.504 0.924
0.854 0.358 0.924
0.878 0.369 0.637
0.697 0.524 0.243
0.371 0.498 0.361
0.306 0.828 0.258
0.357 0.500 0.074
0.510 0.633 0.862
0.495 0.139 0.923
0.837 0.308 0.243
0.856 0.496 0.426
0.031 0.209 0.195
0.539 0.842 0.472
0.128 0.631 0.360
0.198 0.027 0.592
0.461 0.301 0.025
0.370 0.879 0.862
0.029 0.831 0.694
0.830 0.801 0.306
0.308 0.468 0.757
0.832 0.034 0.806
0.692 0.169 0.742
0.524 0.829 0.760
0.164 0.698 0.473
0.802 0.971 0.694
0.800 0.830 0.194
0.802 0.975 0.409
0.168 0.694 0.758
0.641 0.138 0.425
0.976 0.802 0.091
0.470 0.306 0.743
0.523 0.693 0.257
0.542 0.699 0.971
0.632 0.508 0.638
0.497 0.375 0.139
0.304 0.469 0.473
0.303 0.843 0.971
0.202 0.031 0.306
0.500 0.356 0.426
0.458 0.159 0.529
0.828 0.803 0.592
0.163 0.469 0.256
0.027 0.192 0.906
0.129 0.496 0.860
0.025 0.832 0.409
0.360 0.865 0.575
0.209 0.175 0.804
0.477 0.169 0.244
0.828 0.524 0.742
0.169 0.969 0.194
0.832 0.022 0.094
0.190 0.168 0.093
0.630 0.126 0.140
0.801 0.827 0.909
0.968 0.177 0.305
0.507 0.644 0.575
0.136 0.495 0.575
0.704 0.160 0.027
0.968 0.802 0.806
0.165 0.468 0.972
0.176 0.207 0.695
0.138 0.643 0.076
0.510 0.880 0.363
0.492 0.125 0.638
0.163 0.192 0.408
0.326 0.668 0.812
0.666 0.338 0.479
0.653 0.328 0.186
0.335 0.666 0.314
0.667 0.326 0.984
0.672 0.334 0.687
0.992 0.001 0.855
0.009 0.993 0.355
0.333 0.658 0.023
0.993 0.989 0.648
0.997 0.998 0.145
0.324 0.659 0.517
0.620 0.663 0.916
0.999 0.289 0.250
0.624 0.957 0.417
0.954 0.332 0.583
0.380 0.046 0.583
0.665 0.620 0.584
0.290 0.291 0.750
0.334 0.956 0.916
0.953 0.621 0.084
0.671 0.334 0.834
0.665 0.336 0.332
0.338 0.670 0.168
0.292 0.998 0.249
0.042 0.662 0.415
0.000 0.708 0.751
0.334 0.377 0.415
0.380 0.329 0.083
0.704 0.997 0.750
0.667 0.048 0.084
0.043 0.381 0.916
0.709 0.708 0.250

=====

Record 4
NaTiGaP2SO12 (PBE, optimized geometry); calculated volume = 1408 Å³/cell; formation energy = -2.60 eV/atom; corrected total energy (MP2020 scheme) = -7.41 eV per atom
1.0
-1.973 -5.003 -6.643
-2.673 -2.057 7.842
-18.692 11.696 -3.257
O P Na S Ti Ga
72 12 6 6 6 6
Direct
0.507 0.871 0.360
0.504 0.865 0.078
0.506 0.145 0.924
0.498 0.641 0.576
0.200 0.031 0.306
0.144 0.505 0.576
0.489 0.125 0.637
0.186 0.166 0.090
0.839 0.811 0.591
0.143 0.641 0.076
0.028 0.198 0.911
0.972 0.811 0.091
0.811 0.838 0.909
0.162 0.690 0.757
0.173 0.478 0.258
0.694 0.531 0.244
0.647 0.500 0.923
0.639 0.145 0.424
0.454 0.155 0.528
0.495 0.356 0.424
0.302 0.458 0.471
0.694 0.171 0.743
0.031 0.205 0.193
0.528 0.690 0.257
0.788 0.962 0.694
0.027 0.838 0.409
0.837 0.531 0.744
0.635 0.503 0.639
0.829 0.023 0.090
0.830 0.031 0.806
0.122 0.628 0.360
0.361 0.865 0.578
0.165 0.974 0.909
0.861 0.356 0.924
0.476 0.307 0.742
0.868 0.503 0.139
0.314 0.833 0.256
0.497 0.364 0.139
0.305 0.478 0.758
0.968 0.791 0.804
0.368 0.488 0.362
0.534 0.836 0.473
0.360 0.505 0.076
0.034 0.822 0.695
0.698 0.538 0.526
0.788 0.822 0.195
0.194 0.023 0.590
0.534 0.697 0.973
0.201 0.169 0.806
0.831 0.307 0.242
0.364 0.871 0.860
0.809 0.974 0.409
0.841 0.538 0.026
0.968 0.169 0.306
0.170 0.198 0.411
0.455 0.295 0.027
0.302 0.836 0.973
0.173 0.962 0.194
0.980 0.166 0.590
0.121 0.488 0.862
0.840 0.295 0.527
0.174 0.205 0.693
0.701 0.155 0.028
0.853 0.500 0.423
0.867 0.364 0.639
0.635 0.125 0.137
0.478 0.171 0.243
0.164 0.697 0.473
0.507 0.628 0.860
0.823 0.791 0.304
0.519 0.833 0.756
0.156 0.458 0.971
0.956 0.332 0.583
0.005 0.291 0.249
0.286 0.291 0.749
0.620 0.958 0.416
0.376 0.332 0.083
0.289 0.998 0.250
0.043 0.665 0.416
0.709 0.998 0.750
0.671 0.624 0.582
0.953 0.624 0.082
0.338 0.958 0.916
0.622 0.665 0.916
0.660 0.330 0.835
0.327 0.663 0.168
0.994 0.997 0.501
0.003 0.997 0.001
0.669 0.330 0.335
0.336 0.663 0.668
0.337 0.380 0.416
0.004 0.714 0.750
0.043 0.380 0.916
0.710 0.714 0.250
0.376 0.047 0.583
0.671 0.047 0.083
0.669 0.337 0.187
0.668 0.337 0.687
0.334 0.670 0.021
0.001 0.004 0.354
0.336 0.670 0.521
0.003 0.004 0.854
0.350 0.673 0.815
0.016 0.007 0.148
0.683 0.340 0.481
0.324 0.673 0.315
0.657 0.340 0.981
0.990 0.007 0.648